Record 1
# VAgP2O7 | the Materials Project | PBE with a Hubbard U | relaxed
data_VAgP2O7
_cell_length_a 7.458
_cell_length_b 8.175
_cell_length_c 9.749
_cell_angle_alpha 90.00
_cell_angle_beta 111.86
_cell_angle_gamma 90.00
_space_group_name_H-M_alt 'P 1 21/c 1'
_space_group_IT_number 14
loop_
_space_group_symop_operation_xyz
'x,y,z'
'-x,-y,-z'
'-x,y+1/2,-z+1/2'
'x,-y+1/2,z+1/2'
loop_
_atom_site_label
_atom_site_type_symbol
_atom_site_fract_x
_atom_site_fract_y
_atom_site_fract_z
V1 V 0.238 0.007 0.250
Ag1 Ag 0.207 0.028 0.690
P1 P 0.175 0.708 0.454
P2 P 0.425 0.246 0.544
O1 O 0.036 0.587 0.346
O2 O 0.139 0.613 0.900
O3 O 0.186 0.694 0.614
O4 O 0.314 0.205 0.381
O5 O 0.315 0.137 0.102
O6 O 0.381 0.656 0.447
O7 O 0.493 0.090 0.641
# energy of formation from the pure elements = -2.403 eV/atom
# mass density = 4.0 g/cm³



Record 2
# Li7Mn5O12 | the Materials Project | PBE with a Hubbard U | relaxed
data_Li7Mn5O12
_cell_length_a 5.995
_cell_length_b 6.508
_cell_length_c 6.514
_cell_angle_alpha 97.09
_cell_angle_beta 103.38
_cell_angle_gamma 113.76
_space_group_name_H-M_alt 'P -1'
_space_group_IT_number 2
loop_
_space_group_symop_operation_xyz
'x,y,z'
'-x,-y,-z'
loop_
_atom_site_label
_atom_site_type_symbol
_atom_site_fract_x
_atom_site_fract_y
_atom_site_fract_z
Li1 Li 0.000 0.000 0.000
Li2 Li 0.242 0.839 0.319
Li3 Li 0.246 0.169 0.669
Li4 Li 0.262 0.507 0.997
Mn1 Mn 0.002 0.672 0.669
Mn2 Mn 0.487 0.324 0.331
Mn3 Mn 0.500 0.000 0.000
O1 O 0.125 0.432 0.655
O2 O 0.133 0.104 0.337
O3 O 0.158 0.769 0.984
O4 O 0.388 0.243 0.017
O5 O 0.392 0.578 0.346
O6 O 0.403 0.920 0.685
# energy of formation from the pure elements = -2.131 eV/atom
# mass density = 3.9 g/cm³



Record 3
# EuMnNbSnO6 | the Materials Project | PBE with a Hubbard U | relaxed
data_EuMnNbSnO6
_cell_length_a 8.087
_cell_length_b 8.087
_cell_length_c 8.087
_cell_angle_alpha 90.00
_cell_angle_beta 90.00
_cell_angle_gamma 90.00
_space_group_name_H-M_alt 'F -4 3 m'
_space_group_IT_number 216
_space_group_name_Hall 'F -4 2 3'
loop_
_atom_site_label
_atom_site_type_symbol
_atom_site_fract_x
_atom_site_fract_y
_atom_site_fract_z
Eu1 Eu 0.000 0.000 0.000
Mn1 Mn 0.250 0.250 0.750
Nb1 Nb 0.250 0.250 0.250
Sn1 Sn 0.000 0.000 0.500
O1 O 0.002 0.250 0.250
# energy of formation from the pure elements = -2.494 eV/atom
# mass density = 6.5 g/cm³



Record 4
# Li9Mn2Co5O16 | the Materials Project | PBE with a Hubbard U | relaxed
data_Li9Mn2Co5O16
_cell_length_a 10.312
_cell_length_b 5.806
_cell_length_c 10.223
_cell_angle_alpha 90.00
_cell_angle_beta 110.20
_cell_angle_gamma 90.00
_space_group_name_H-M_alt 'C 1 2/m 1'
_space_group_IT_number 12
loop_
_space_group_symop_operation_xyz
'x,y,z'
'-x,-y,-z'
'-x,y,-z'
'x,-y,z'
'x+1/2,y+1/2,z'
'-x+1/2,-y+1/2,-z'
'-x+1/2,y+1/2,-z'
'x+1/2,-y+1/2,z'
loop_
_atom_site_label
_atom_site_type_symbol
_atom_site_fract_x
_atom_site_fract_y
_atom_site_fract_z
Li1 Li 0.000 0.000 0.000
Li2 Li 0.245 0.000 0.237
Li3 Li 0.249 0.500 0.246
Li4 Li 0.250 0.250 0.000
Li5 Li 0.250 0.250 0.500
Mn1 Mn 0.000 0.000 0.500
Mn2 Mn 0.000 0.500 0.000
Co1 Co 0.000 0.500 0.500
Co2 Co 0.002 0.246 0.244
O1 O 0.109 0.500 0.366
O2 O 0.112 0.243 0.615
O3 O 0.113 0.000 0.858
O4 O 0.115 0.000 0.381
O5 O 0.115 0.264 0.122
O6 O 0.116 0.500 0.883
# energy of formation from the pure elements = -1.777 eV/atom
# mass density = 4.2 g/cm³



Record 5
# Na3CoO3 | the Materials Project | PBE with a Hubbard U | relaxed
data_Na3CoO3
_cell_length_a 9.181
_cell_length_b 9.181
_cell_length_c 4.501
_cell_angle_alpha 90.00
_cell_angle_beta 90.00
_cell_angle_gamma 90.00
_space_group_name_H-M_alt 'P 42/m n m'
_space_group_IT_number 136
_space_group_name_Hall '-P 4n 2n'
loop_
_atom_site_label
_atom_site_type_symbol
_atom_site_fract_x
_atom_site_fract_y
_atom_site_fract_z
Na1 Na 0.129 0.371 0.000
Na2 Na 0.146 0.146 0.500
Co1 Co 0.114 0.886 0.000
O1 O 0.095 0.095 0.000
O2 O 0.105 0.691 0.000
# energy of formation from the pure elements = -1.455 eV/atom
# mass density = 3.1 g/cm³



Record 6
# UV2O8 | the Materials Project | PBE with a Hubbard U | relaxed
data_UV2O8
_cell_length_a 6.329
_cell_length_b 11.237
_cell_length_c 10.654
_cell_angle_alpha 90.00
_cell_angle_beta 90.00
_cell_angle_gamma 90.00
_space_group_name_H-M_alt 'P n m a'
_space_group_IT_number 62
loop_
_space_group_symop_operation_xyz
'x,y,z'
'-x,-y,-z'
'-x+1/2,-y,z+1/2'
'x+1/2,y,-z+1/2'
'x+1/2,-y+1/2,-z+1/2'
'-x+1/2,y+1/2,z+1/2'
'-x,y+1/2,-z'
'x,-y+1/2,z'
loop_
_atom_site_label
_atom_site_type_symbol
_atom_site_fract_x
_atom_site_fract_y
_atom_site_fract_z
U1 U 0.107 0.250 0.121
V1 V 0.180 0.600 0.185
O1 O 0.053 0.058 0.729
O2 O 0.145 0.639 0.037
O3 O 0.152 0.750 0.767
O4 O 0.163 0.086 0.120
O5 O 0.198 0.750 0.251
# energy of formation from the pure elements = -2.620 eV/atom
# mass density = 4.1 g/cm³



- Among the records above, which one has the lowest mass density?
  Na3CoO3



- Which formula does entry 6 have?
  UV2O8



- The lowest energy of formation from the pure elements belongs to which entry?
  UV2O8